1.
! Na4LaAlSi2SO12, optimized geometry, DFT GGA-PBE; values from VASP
! * V: 13.30 Å³/atom
! * space group: P1 (1)
! * MP2020-corrected energy: -6.97 eV per atom
! * total magnetic moment: 0.00 Bohr magnetons per cell
&SYSTEM
  ibrav = 0, nat = 126, ntyp = 6
/
ATOMIC_SPECIES
Na 22.99 Na.upf
La 138.91 La.upf
Al 26.98 Al.upf
Si 28.09 Si.upf
S 32.06 S.upf
O 16.00 O.upf
CELL_PARAMETERS angstrom
-1.241 1.896 -9.010
4.139 -7.881 2.468
-19.943 -10.299 0.648
ATOMIC_POSITIONS crystal
Na 0.647 0.000 0.257
Na 0.352 0.371 0.247
Na 0.995 0.629 0.263
Na 0.625 0.625 0.723
Na 0.991 0.349 0.747
Na 0.389 0.023 0.745
Na 0.312 0.334 0.592
Na 0.042 0.721 0.575
Na 0.666 0.945 0.591
Na 0.283 0.972 0.079
Na 0.673 0.689 0.098
Na 0.049 0.338 0.096
Na 0.990 0.670 0.926
Na 0.688 0.041 0.901
Na 0.317 0.289 0.923
Na 0.955 0.307 0.407
Na 0.328 0.019 0.418
Na 0.702 0.666 0.424
Na 0.992 0.975 0.500
Na 0.020 0.012 0.002
Na 0.654 0.310 0.829
Na 0.676 0.340 0.337
Na 0.323 0.647 0.177
Na 0.352 0.679 0.659
La 0.012 0.021 0.837
La 0.997 0.999 0.173
La 0.668 0.332 0.991
La 0.322 0.655 0.022
La 0.342 0.685 0.509
La 0.335 0.663 0.809
Al 0.945 0.973 0.347
Al 0.002 0.993 0.646
Al 0.639 0.316 0.678
Al 0.688 0.379 0.190
Al 0.662 0.329 0.484
Al 0.326 0.671 0.323
Si 0.669 0.688 0.254
Si 0.002 0.314 0.255
Si 0.308 0.295 0.738
Si 0.708 0.018 0.736
Si 0.370 0.053 0.581
Si 0.682 0.618 0.582
Si 0.969 0.640 0.091
Si 0.377 0.332 0.096
Si 0.015 0.348 0.913
Si 0.332 0.979 0.916
Si 0.636 0.977 0.417
Si 0.026 0.680 0.414
S 0.315 0.991 0.256
S 0.988 0.690 0.740
S 0.941 0.321 0.580
S 0.669 0.032 0.093
S 0.654 0.672 0.916
S 0.330 0.357 0.415
O 0.214 0.012 0.302
O 0.822 0.801 0.300
O 0.971 0.155 0.299
O 0.259 0.219 0.805
O 0.972 0.751 0.799
O 0.789 0.045 0.802
O 0.826 0.993 0.686
O 0.168 0.164 0.690
O 0.994 0.805 0.692
O 0.718 0.794 0.192
O 0.059 0.272 0.192
O 0.236 0.965 0.197
O 0.859 0.337 0.633
O 0.484 0.144 0.638
O 0.673 0.503 0.639
O 0.850 0.521 0.145
O 0.677 0.145 0.141
O 0.501 0.326 0.148
O 0.435 0.320 0.028
O 0.892 0.572 0.025
O 0.668 0.098 0.033
O 0.467 0.166 0.522
O 0.697 0.526 0.521
O 0.846 0.312 0.525
O 0.568 0.676 0.971
O 0.124 0.440 0.973
O 0.334 0.882 0.977
O 0.598 0.872 0.480
O 0.293 0.409 0.473
O 0.131 0.737 0.477
O 0.145 0.655 0.366
O 0.491 0.861 0.369
O 0.347 0.478 0.368
O 0.117 0.444 0.853
O 0.346 0.883 0.856
O 0.562 0.678 0.862
O 0.997 0.841 0.398
O 0.822 0.007 0.401
O 0.192 0.187 0.402
O 0.984 0.159 0.918
O 0.157 0.979 0.917
O 0.821 0.818 0.916
O 0.957 0.168 0.581
O 0.179 0.030 0.587
O 0.846 0.811 0.589
O 0.987 0.825 0.096
O 0.820 0.014 0.093
O 0.190 0.171 0.100
O 0.694 0.189 0.728
O 0.498 0.326 0.732
O 0.847 0.520 0.734
O 0.661 0.505 0.249
O 0.828 0.326 0.248
O 0.485 0.137 0.257
O 0.663 0.518 0.911
O 0.839 0.346 0.911
O 0.490 0.166 0.913
O 0.649 0.162 0.426
O 0.491 0.356 0.417
O 0.848 0.503 0.420
O 0.376 0.508 0.102
O 0.149 0.650 0.099
O 0.518 0.869 0.100
O 0.347 0.863 0.582
O 0.511 0.633 0.584
O 0.111 0.469 0.578
O 0.327 0.835 0.266
O 0.489 0.664 0.274
O 0.159 0.494 0.274
O 0.315 0.476 0.730
O 0.145 0.684 0.735
O 0.525 0.852 0.733

***

2.
! Na2La4Al4SiS11O48, optimized geometry, DFT GGA-PBE; values from VASP
! * V: 15.26 Å³/atom
! * space group: P1 (1)
! * MP2020-corrected energy: -7.14 eV per atom
! * total magnetic moment: 0.00 Bohr magnetons per cell
&SYSTEM
  ibrav = 0, nat = 210, ntyp = 6
/
ATOMIC_SPECIES
Na 22.99 Na.upf
La 138.91 La.upf
Al 26.98 Al.upf
Si 28.09 Si.upf
S 32.06 S.upf
O 16.00 O.upf
CELL_PARAMETERS angstrom
17.716 -0.084 -0.037
-4.465 7.705 -0.008
-0.048 -0.052 23.543
ATOMIC_POSITIONS crystal
Na 0.000 0.975 0.486
Na 0.502 0.027 0.007
Na 0.343 0.334 0.835
Na 0.837 0.346 0.833
Na 0.335 0.333 0.332
Na 0.840 0.349 0.321
La 0.002 0.995 0.861
La 0.497 0.002 0.863
La 0.001 0.987 0.646
La 0.497 0.999 0.636
La 0.345 0.335 0.680
La 0.839 0.362 0.678
La 0.347 0.341 0.993
La 0.842 0.348 0.466
La 0.659 0.651 0.036
La 0.156 0.668 0.500
La 0.149 0.645 0.814
La 0.672 0.671 0.824
Al 0.009 0.999 0.337
Al 0.501 0.012 0.347
Al 0.999 0.014 0.154
Al 0.494 0.991 0.167
Al 0.314 0.308 0.175
Al 0.854 0.365 0.180
Al 0.838 0.337 0.997
Al 0.338 0.340 0.476
Al 0.159 0.659 0.024
Al 0.664 0.671 0.504
Al 0.174 0.658 0.320
Al 0.650 0.657 0.315
Si 0.992 0.685 0.749
Si 0.509 0.365 0.921
Si 0.022 0.685 0.397
S 0.145 0.010 0.242
S 0.639 0.995 0.258
S 0.354 0.715 0.258
S 0.861 0.719 0.244
S 0.001 0.286 0.253
S 0.501 0.286 0.249
S 0.163 0.308 0.751
S 0.649 0.301 0.750
S 0.503 0.700 0.752
S 0.346 0.000 0.750
S 0.847 0.006 0.751
S 0.488 0.358 0.563
S 0.992 0.332 0.578
S 0.192 0.056 0.566
S 0.687 0.007 0.573
S 0.333 0.615 0.567
S 0.815 0.640 0.570
S 0.471 0.643 0.105
S 0.980 0.633 0.086
S 0.337 0.025 0.095
S 0.850 0.078 0.095
S 0.175 0.324 0.091
S 0.694 0.301 0.095
S 0.304 0.665 0.933
S 0.816 0.631 0.930
S 0.011 0.376 0.936
S 0.165 0.945 0.933
S 0.686 0.999 0.930
S 0.326 0.977 0.406
S 0.802 0.922 0.406
S 0.169 0.357 0.405
S 0.652 0.378 0.404
S 0.521 0.672 0.411
O 0.110 0.059 0.293
O 0.597 0.031 0.307
O 0.416 0.800 0.307
O 0.921 0.802 0.293
O 0.484 0.169 0.299
O 0.979 0.163 0.302
O 0.112 0.228 0.804
O 0.599 0.202 0.800
O 0.504 0.791 0.805
O 0.998 0.804 0.804
O 0.397 0.999 0.800
O 0.894 0.013 0.805
O 0.396 0.028 0.696
O 0.900 0.018 0.701
O 0.115 0.207 0.700
O 0.605 0.208 0.696
O 0.978 0.753 0.687
O 0.490 0.784 0.701
O 0.393 0.831 0.208
O 0.900 0.834 0.193
O 0.014 0.204 0.202
O 0.522 0.208 0.199
O 0.085 0.977 0.193
O 0.581 0.964 0.207
O 0.462 0.395 0.618
O 0.947 0.320 0.632
O 0.229 0.143 0.621
O 0.735 0.070 0.627
O 0.329 0.530 0.622
O 0.803 0.558 0.626
O 0.412 0.501 0.146
O 0.947 0.519 0.139
O 0.318 0.129 0.138
O 0.840 0.164 0.147
O 0.240 0.362 0.139
O 0.752 0.328 0.145
O 0.204 0.273 0.040
O 0.735 0.279 0.043
O 0.432 0.605 0.048
O 0.915 0.542 0.040
O 0.367 0.125 0.042
O 0.866 0.189 0.045
O 0.248 0.160 0.517
O 0.732 0.133 0.527
O 0.333 0.507 0.518
O 0.834 0.543 0.526
O 0.423 0.332 0.517
O 0.940 0.338 0.529
O 0.248 0.656 0.982
O 0.763 0.652 0.974
O 0.075 0.486 0.981
O 0.554 0.478 0.979
O 0.173 0.847 0.983
O 0.673 0.874 0.975
O 0.297 0.880 0.459
O 0.759 0.819 0.458
O 0.147 0.407 0.459
O 0.640 0.459 0.455
O 0.055 0.709 0.463
O 0.581 0.705 0.459
O 0.090 0.662 0.356
O 0.556 0.627 0.359
O 0.263 0.884 0.358
O 0.746 0.829 0.355
O 0.192 0.494 0.360
O 0.663 0.487 0.352
O 0.035 0.462 0.880
O 0.559 0.453 0.862
O 0.172 0.870 0.879
O 0.697 0.941 0.874
O 0.270 0.680 0.878
O 0.774 0.600 0.873
O 0.015 0.859 0.386
O 0.514 0.827 0.400
O 0.411 0.994 0.391
O 0.889 0.944 0.401
O 0.091 0.192 0.387
O 0.573 0.202 0.395
O 0.005 0.207 0.935
O 0.501 0.176 0.930
O 0.082 0.944 0.937
O 0.609 0.024 0.930
O 0.393 0.816 0.942
O 0.903 0.787 0.929
O 0.494 0.200 0.566
O 0.000 0.177 0.569
O 0.104 0.035 0.559
O 0.598 0.981 0.579
O 0.414 0.784 0.565
O 0.890 0.821 0.570
O 0.480 0.813 0.120
O 0.987 0.801 0.098
O 0.413 0.011 0.116
O 0.928 0.056 0.104
O 0.090 0.175 0.109
O 0.606 0.145 0.102
O 0.333 0.151 0.757
O 0.832 0.154 0.751
O 0.247 0.311 0.755
O 0.735 0.312 0.754
O 0.426 0.521 0.756
O 0.907 0.492 0.757
O 0.343 0.542 0.248
O 0.855 0.543 0.233
O 0.422 0.299 0.239
O 0.925 0.315 0.243
O 0.235 0.174 0.231
O 0.727 0.144 0.250
O 0.308 0.503 0.932
O 0.823 0.475 0.943
O 0.412 0.345 0.915
O 0.926 0.361 0.950
O 0.239 0.124 0.935
O 0.767 0.166 0.943
O 0.336 0.155 0.413
O 0.807 0.092 0.408
O 0.248 0.338 0.413
O 0.729 0.359 0.407
O 0.432 0.515 0.421
O 0.926 0.507 0.393
O 0.167 0.481 0.082
O 0.686 0.457 0.090
O 0.066 0.651 0.073
O 0.556 0.656 0.106
O 0.258 0.854 0.086
O 0.772 0.908 0.088
O 0.188 0.888 0.568
O 0.679 0.838 0.557
O 0.257 0.635 0.562
O 0.734 0.633 0.554
O 0.078 0.491 0.579
O 0.573 0.509 0.548
O 0.158 0.865 0.252
O 0.642 0.832 0.268
O 0.267 0.698 0.269
O 0.774 0.691 0.255
O 0.081 0.454 0.265
O 0.578 0.463 0.260
O 0.180 0.486 0.745
O 0.660 0.475 0.749
O 0.079 0.672 0.746
O 0.583 0.694 0.746
O 0.263 0.838 0.746
O 0.763 0.841 0.748